## MgTi4Cu3O12 (PBE-GGA)

Data for a relaxed MgTi4Cu3O12 crystal.

Properties
Energy relative to the lowest polymorph listed for this composition, meV/atom: 0.0
Calculated total energy, eV per atom: -7.418

```
MgTi4Cu3O12
1.0
6.056 0.008 -2.140
-3.041 5.317 -2.125
0.001 -0.008 6.423
Mg Cu O Ti
1 3 12 4
direct
0.945 0.874 0.928 Mg
0.494 0.980 0.485 Cu
0.994 0.490 0.496 Cu
0.500 0.487 0.987 Cu
0.818 0.297 0.123 O
0.478 0.163 0.295 O
0.306 0.473 0.166 O
0.305 0.114 0.809 O
0.868 0.163 0.685 O
0.171 0.693 0.870 O
0.174 0.297 0.479 O
0.119 0.809 0.287 O
0.699 0.861 0.162 O
0.823 0.693 0.522 O
0.522 0.809 0.690 O
0.696 0.507 0.810 O
0.471 0.456 0.468 Ti
0.988 0.456 0.984 Ti
0.000 0.976 0.484 Ti
0.492 0.976 0.976 Ti
```


## In9Pt13 (PBE-GGA)

Data for a relaxed In9Pt13 crystal.

Properties
Calculated total energy, eV per atom: -5.138

```
In9Pt13
1.0
0.985 -7.174 0.131
7.190 -0.706 -0.511
4.602 -3.655 7.646
Pt In
13 9
direct
0.454 0.454 0.824 Pt
0.256 0.256 0.493 Pt
0.937 0.457 0.340 Pt
0.546 0.546 0.176 Pt
0.752 0.248 0.000 Pt
0.457 0.937 0.340 Pt
0.063 0.543 0.660 Pt
0.000 0.500 0.000 Pt
0.500 0.000 0.000 Pt
0.543 0.063 0.660 Pt
0.744 0.744 0.507 Pt
0.248 0.752 0.000 Pt
0.000 0.000 0.500 Pt
0.825 0.253 0.689 In
0.175 0.747 0.311 In
0.703 0.703 0.832 In
0.297 0.297 0.168 In
0.178 0.178 0.882 In
0.747 0.175 0.311 In
0.253 0.825 0.689 In
0.500 0.500 0.500 In
0.822 0.822 0.118 In
```


## Mg14TiC (PBE-GGA)

Data for a relaxed Mg14TiC crystal.

Properties
Energy relative to the lowest polymorph listed for this composition, meV/atom: 0.0
Calculated total energy, eV per atom: -2.182

```
Mg14TiC
1.0
-4.519 0.552 -4.651
1.115 -5.485 2.113
-6.871 1.232 6.823
Mg Ti C
14 1 1
direct
0.615 0.291 0.125 Mg
0.654 0.331 0.625 Mg
0.876 0.688 0.331 Mg
0.327 0.667 0.359 Mg
0.837 0.168 0.875 Mg
0.327 0.159 0.891 Mg
0.876 0.688 0.919 Mg
0.327 0.667 0.891 Mg
0.152 0.826 0.625 Mg
0.327 0.159 0.359 Mg
0.615 0.824 0.125 Mg
0.654 0.823 0.625 Mg
0.165 0.332 0.625 Mg
0.837 0.168 0.375 Mg
0.118 0.309 0.125 Ti
0.297 0.899 0.125 C
```


## Na6TaZn5P3S6O36 (PBE-GGA)

Data for a relaxed Na6TaZn5P3S6O36 crystal.

Properties
Calculated total energy, eV per atom: -6.080

```
Na6TaZn5P3S6O36
1.0
8.899 0.000 0.000
-4.449 7.681 -0.019
0.000 -0.056 22.394
O Na S Zn P Ta
72 12 12 10 6 2
direct
0.975 0.191 0.302 O
0.313 0.829 0.261 O
0.215 0.191 0.802 O
0.865 0.554 0.025 O
0.454 0.309 0.028 O
0.474 0.355 0.137 O
0.037 0.231 0.194 O
0.881 0.355 0.637 O
0.643 0.517 0.634 O
0.839 0.522 0.748 O
0.809 0.789 0.312 O
0.013 0.817 0.412 O
0.176 0.972 0.911 O
0.199 0.962 0.190 O
0.197 0.024 0.589 O
0.504 0.369 0.417 O
0.814 0.029 0.803 O
0.135 0.446 0.978 O
0.548 0.859 0.473 O
0.516 0.829 0.761 O
0.804 0.817 0.912 O
0.494 0.133 0.918 O
0.194 0.177 0.086 O
0.550 0.692 0.972 O
0.356 0.863 0.577 O
0.449 0.145 0.528 O
0.043 0.818 0.698 O
0.827 0.024 0.089 O
0.510 0.650 0.580 O
0.151 0.497 0.866 O
0.507 0.863 0.077 O
0.311 0.859 0.973 O
0.518 0.682 0.262 O
0.140 0.650 0.080 O
0.982 0.177 0.586 O
0.696 0.145 0.028 O
0.980 0.789 0.812 O
0.352 0.862 0.865 O
0.311 0.446 0.478 O
0.635 0.504 0.918 O
0.163 0.477 0.259 O
0.688 0.554 0.525 O
0.824 0.809 0.587 O
0.510 0.862 0.365 O
0.142 0.692 0.472 O
0.639 0.133 0.418 O
0.853 0.328 0.244 O
0.314 0.477 0.759 O
0.475 0.328 0.744 O
0.764 0.962 0.690 O
0.855 0.309 0.528 O
0.346 0.497 0.366 O
0.022 0.188 0.910 O
0.517 0.654 0.864 O
0.873 0.517 0.134 O
0.137 0.654 0.364 O
0.795 0.972 0.411 O
0.489 0.152 0.245 O
0.775 0.818 0.198 O
0.141 0.491 0.579 O
0.663 0.152 0.745 O
0.481 0.120 0.636 O
0.166 0.188 0.410 O
0.985 0.809 0.087 O
0.683 0.522 0.248 O
0.194 0.231 0.694 O
0.349 0.491 0.079 O
0.865 0.369 0.917 O
0.639 0.120 0.136 O
0.215 0.029 0.303 O
0.869 0.504 0.418 O
0.165 0.682 0.762 O
0.356 0.676 0.164 Na
0.703 0.665 0.412 Na
0.671 0.321 0.828 Na
0.670 0.971 0.589 Na
0.021 0.009 0.496 Na
0.988 0.009 0.996 Na
0.320 0.676 0.664 Na
0.032 0.334 0.082 Na
0.962 0.665 0.912 Na
0.650 0.321 0.328 Na
0.301 0.971 0.089 Na
0.302 0.334 0.582 Na
0.373 0.335 0.082 S
0.670 0.630 0.582 S
0.960 0.630 0.082 S
0.997 0.295 0.250 S
0.627 0.666 0.917 S
0.962 0.335 0.582 S
0.370 0.038 0.583 S
0.298 0.295 0.750 S
0.668 0.038 0.083 S
0.335 0.962 0.918 S
0.040 0.666 0.417 S
0.627 0.962 0.418 S
0.672 0.328 0.981 Zn
0.991 0.009 0.845 Zn
0.994 0.980 0.162 Zn
0.320 0.656 0.512 Zn
0.986 0.980 0.662 Zn
0.655 0.337 0.188 Zn
0.656 0.328 0.481 Zn
0.336 0.656 0.012 Zn
0.018 0.009 0.345 Zn
0.683 0.337 0.688 Zn
0.994 0.706 0.754 P
0.702 0.003 0.749 P
0.302 0.003 0.249 P
0.711 0.706 0.254 P
0.038 0.366 0.919 P
0.328 0.366 0.419 P
0.335 0.665 0.312 Ta
0.329 0.665 0.812 Ta
```


## Rb2NaSmF6 (PBE-GGA)

Data for a relaxed Rb2NaSmF6 crystal.

Properties
Calculated total energy, eV per atom: -5.212

```
Rb2NaSmF6
1.0
5.823 -0.280 2.762
5.316 0.424 -3.630
3.690 5.283 0.289
Sm F Rb Na
1 6 2 1
direct
0.000 0.000 0.000 Sm
0.754 0.246 0.246 F
0.754 0.754 0.246 F
0.246 0.754 0.246 F
0.246 0.246 0.754 F
0.754 0.246 0.754 F
0.246 0.754 0.754 F
0.750 0.750 0.750 Rb
0.250 0.250 0.250 Rb
0.500 0.500 0.500 Na
```


## Bi3O2 (PBE-GGA)

Data for a relaxed Bi3O2 crystal.

Properties
Calculated total energy, eV per atom: -5.006

```
Bi3O2
1.0
-1.976 1.976 7.129
1.976 -1.976 7.129
1.976 1.976 -7.129
Bi O
3 2
direct
0.000 0.000 0.000 Bi
0.661 0.661 0.000 Bi
0.339 0.339 0.000 Bi
0.750 0.250 0.500 O
0.250 0.750 0.500 O
```


Please write out number 6 again, unchanged.
## Bi3O2 (PBE-GGA)

Data for a relaxed Bi3O2 crystal.

Properties
Calculated total energy, eV per atom: -5.006

```
Bi3O2
1.0
-1.976 1.976 7.129
1.976 -1.976 7.129
1.976 1.976 -7.129
Bi O
3 2
direct
0.000 0.000 0.000 Bi
0.661 0.661 0.000 Bi
0.339 0.339 0.000 Bi
0.750 0.250 0.500 O
0.250 0.750 0.500 O
```


Which of these has the highest calculated total energy?
Mg14TiC


Repeat the third record exactly.
## Mg14TiC (PBE-GGA)

Data for a relaxed Mg14TiC crystal.

Properties
Energy relative to the lowest polymorph listed for this composition, meV/atom: 0.0
Calculated total energy, eV per atom: -2.182

```
Mg14TiC
1.0
-4.519 0.552 -4.651
1.115 -5.485 2.113
-6.871 1.232 6.823
Mg Ti C
14 1 1
direct
0.615 0.291 0.125 Mg
0.654 0.331 0.625 Mg
0.876 0.688 0.331 Mg
0.327 0.667 0.359 Mg
0.837 0.168 0.875 Mg
0.327 0.159 0.891 Mg
0.876 0.688 0.919 Mg
0.327 0.667 0.891 Mg
0.152 0.826 0.625 Mg
0.327 0.159 0.359 Mg
0.615 0.824 0.125 Mg
0.654 0.823 0.625 Mg
0.165 0.332 0.625 Mg
0.837 0.168 0.375 Mg
0.118 0.309 0.125 Ti
0.297 0.899 0.125 C
```